Here is crystalline Tl4SnS4 at its relaxed geometry from the Materials Project database. Energies are from PBE.

Cell: 8.5477 8.4733 16.0145 Å, 90.00 105.00 90.00°
Closest atoms and distances in Å follow each position.
Space group P2_1/c (No. 14)
Asymmetric unit:
1 Tl 0.0259 0.0055 0.1331  3 S 3.07-3.16
2 Tl 0.1834 0.1003 0.6222  3 S 3.08-3.12
3 Tl 0.3966 0.6781 0.6101  3 S 3.03-3.09
4 Tl 0.3997 0.7158 0.3601  4 S 3.09-3.30
5 Sn 0.2134 0.1156 0.3781  4 S 2.42-2.44
6 S 0.0561 0.6726 0.2133  1 Sn 2.44
7 S 0.1875 0.6150 0.9644  1 Sn 2.44
8 S 0.3068 0.1519 0.9639  1 Sn 2.42
9 S 0.4001 0.0562 0.2913  1 Sn 2.43

Total energy   -3.74 eV/atom

Here is crystalline Tl4Sn5S12 at its relaxed geometry from the Materials Project database. Energies are from PBE.

Cell: 7.5040 9.8748 17.3679 Å, 105.00 90.12 111.92°
Closest atoms and distances in Å follow each position.
Space group P-1 (No. 2)
Asymmetric unit:
1 Tl 0.0826 0.4598 0.3873  1 S 2.56
2 Tl 0.1246 0.6606 0.8568  4 S 3.01-3.35
3 Tl 0.1874 0.9404 0.2980  1 S 2.82
4 Tl 0.3986 0.3921 0.1453  3 S 2.86-3.07, 1 Sn 3.07
5 Sn 0.1831 0.9919 0.5825  1 S 2.03
6 Sn 0.1876 0.1798 0.9475  4 S 2.26-2.52
7 Sn 0.3153 0.8228 0.0579  2 S 2.18-2.33
8 Sn 0.3845 0.3018 0.7300  1 S 2.06
9 Sn 0.4822 0.2737 0.4028  1 S 2.11
10 S 0.0284 0.8458 0.4781  1 Sn 2.03
11 S 0.0300 0.3381 0.9831  2 Sn 2.26-2.47
12 S 0.1626 0.9938 0.0920  2 Sn 2.33-2.52
13 S 0.1696 0.2295 0.3272  1 Sn 2.52, 1 Tl 2.56
14 S 0.1934 0.3605 0.8033  1 Sn 2.06
15 S 0.2305 0.0411 0.7215  2 Sn 2.33-2.36
16 S 0.2895 0.6458 0.2019  1 Sn 2.53
17 S 0.3104 0.7688 0.6707  1 Sn 2.11
18 S 0.3296 0.0056 0.9124  2 Sn 2.30-2.53
19 S 0.3820 0.4588 0.5927  1 Sn 2.43
20 S 0.4619 0.6716 0.0080  1 Sn 2.18
21 S 0.4879 0.8380 0.4544  1 Sn 2.61

E above lowest polymorph   655 meV per atom
Total moment   0.00 μB/f.u.
Total energy   -3.49 eV/atom

Here is crystalline Tl2Sn2S3 at its relaxed geometry from the Materials Project database. Energies are from PBE.

Cell: 14.4332 8.3094 7.1910 Å, 90.00 106.02 90.00°
Closest atoms and distances in Å follow each position.
Space group C2/c (No. 15)
Asymmetric unit:
1 Tl 0.1224 0.1142 0.0235  4 S 3.00-3.34
2 Sn 0.1195 0.3782 0.4603  3 S 2.56-2.83
3 S 0.0000 0.4107 0.7500  2 Sn 2.63
4 S 0.2268 0.4176 0.1888  2 Sn 2.56-2.83

Total energy   -4.00 eV/atom

Here is crystalline Tl4Sn5S12 at its relaxed geometry from the Materials Project database. Energies are from PBE.

Cell: 7.5040 9.8748 17.3679 Å, 105.00 90.12 111.92°
Closest atoms and distances in Å follow each position.
Space group P-1 (No. 2)
Asymmetric unit:
1 Tl 0.0826 0.3471 0.3873  3 S 3.10-3.16
2 Tl 0.1246 0.0174 0.8568  5 S 3.20-3.54
3 Tl 0.1874 0.7384 0.2980  4 S 3.11-3.36
4 Tl 0.3986 0.0375 0.1453  3 S 3.02-3.37
5 Sn 0.1831 0.0744 0.5825  5 S 2.50-2.65
6 Sn 0.1876 0.6274 0.9475  6 S 2.55-2.64
7 Sn 0.3153 0.3807 0.0579  6 S 2.57-2.64
8 Sn 0.3845 0.5318 0.7300  4 S 2.43-2.44
9 Sn 0.4822 0.1764 0.4028  4 S 2.39-2.47
10 S 0.0284 0.8239 0.4781  2 Sn 2.51-2.52
11 S 0.0300 0.8212 0.9831  2 Sn 2.55-2.57
12 S 0.1626 0.5857 0.0920  3 Sn 2.62-2.64
13 S 0.1696 0.0567 0.3272  1 Sn 2.39
14 S 0.1934 0.6638 0.8033  2 Sn 2.43-2.62
15 S 0.2305 0.2626 0.7215  2 Sn 2.43-2.57
16 S 0.2895 0.3477 0.2019  2 Sn 2.43-2.60
17 S 0.3104 0.9395 0.6707  2 Sn 2.44-2.65
18 S 0.3296 0.4180 0.9124  3 Sn 2.60-2.64
19 S 0.3820 0.5515 0.5927  2 Sn 2.44-2.47
20 S 0.4619 0.1796 0.0080  2 Sn 2.58
21 S 0.4879 0.7924 0.4544  2 Sn 2.42-2.50

E above lowest polymorph   0 meV per atom
Total moment   0.00 μB/f.u.
Total energy   -4.14 eV/atom

Here is crystalline Zr5Sn3S at its relaxed geometry from the Materials Project database. Energies are from PBE.

Cell: 8.5875 8.5875 6.0183 Å, 90.00 90.00 120.00°
Closest atoms and distances in Å follow each position.
Space group P6_3/mcm (No. 193)
Asymmetric unit:
1 Zr 0.0000 0.2520 0.2500  2 S 2.64
2 Zr 0.3333 0.6667 0.0000  2 Zr 3.01, 6 Sn 3.03
3 Sn 0.0000 0.3990 0.7500  9 Zr 3.00-3.26
4 S 0.0000 0.0000 0.0000  6 Zr 2.64

Total energy   -7.42 eV/atom

Here is crystalline SrS3 at its relaxed geometry from the Materials Project database. Energies are from PBE.

Cell: 7.0090 8.0834 7.2794 Å, 90.00 90.00 90.00°
Closest atoms and distances in Å follow each position.
Space group Aea2 (No. 41)
Asymmetric unit:
1 Sr 0.0000 0.0000 0.0000  6 S 3.02-3.09
2 S 0.0000 0.0000 0.5306  2 S 2.09
3 S 0.1424 0.1645 0.3576  1 S 2.09

Maximum piezoelectric response   2.83 C/m²
Total energy   -4.54 eV/atom

Here is crystalline SrS at its relaxed geometry from the Materials Project database. Energies are from PBE.

Cell: 6.0635 6.0635 6.0635 Å, 90.00 90.00 90.00°
Closest atoms and distances in Å follow each position.
Space group Fm-3m (No. 225)
Asymmetric unit:
1 Sr 0.0000 0.0000 0.0000  6 S 3.03
2 S 0.0000 0.0000 0.5000  6 Sr 3.03

E above lowest polymorph   0 meV per atom
Total energy   -5.06 eV/atom

Here is crystalline SrS at its relaxed geometry from the Materials Project database. Energies are from PBE.

Cell: 3.6684 3.6684 3.6684 Å, 90.00 90.00 90.00°
Closest atoms and distances in Å follow each position.
Space group Pm-3m (No. 221)
Asymmetric unit:
1 Sr 0.0000 0.0000 0.0000  8 S 3.18
2 S 0.5000 0.5000 0.5000  8 Sr 3.18

E above lowest polymorph   300 meV per atom
Total moment   0.00 μB/f.u.
Total energy   -4.76 eV/atom

Here is crystalline Sr17Ta10S42 at its relaxed geometry from the Materials Project database. Energies are from PBE.

Cell: 12.3190 12.3607 12.3740 Å, 96.33 96.50 96.32°
Closest atoms and distances in Å follow each position.
Space group P1 (No. 1)
Asymmetric unit:
1 Sr 0.0000 0.0000 0.0000  7 S 3.05-3.29
2 Sr 0.0039 0.1471 0.3858  7 S 2.95-3.17
3 Sr 0.0325 0.6667 0.7999  7 S 2.98-3.17
4 Sr 0.2221 0.6325 0.1407  7 S 3.01-3.21
5 Sr 0.2391 0.7830 0.5207  8 S 2.96-3.30
6 Sr 0.3205 0.4597 0.7023  7 S 3.01-3.18
7 Sr 0.3240 0.3357 0.3322  7 S 2.99-3.14
8 Sr 0.3724 0.0148 0.1508  8 S 2.98-3.28
9 Sr 0.5344 0.4471 0.0498  8 S 3.00-3.36
10 Sr 0.5438 0.0966 0.8322  7 S 3.05-3.21
11 Sr 0.5628 0.9678 0.4658  7 S 3.00-3.14
12 Sr 0.6562 0.8055 0.0367  7 S 2.99-3.18
13 Sr 0.6697 0.6812 0.6802  7 S 3.00-3.16
14 Sr 0.6854 0.3285 0.4684  7 S 3.03-3.21
15 Sr 0.8591 0.7730 0.3685  7 S 3.01-3.29
16 Sr 0.8922 0.4283 0.1728  7 S 3.00-3.18
17 Sr 0.9056 0.3037 0.8140  7 S 2.98-3.19
18 Ta 0.1226 0.8963 0.2644  6 S 2.37-2.62
19 Ta 0.1732 0.2739 0.9829  4 S 2.26-2.31
20 Ta 0.3018 0.0845 0.4636  4 S 2.31-2.50
21 Ta 0.3367 0.7700 0.8214  4 S 2.26-2.30
22 Ta 0.4985 0.6135 0.3185  4 S 2.28-2.29
23 Ta 0.6210 0.3952 0.7660  3 S 2.34-2.35
24 Ta 0.6755 0.1113 0.1418  4 S 2.28-2.29
25 Ta 0.8087 0.5830 0.9524  6 S 2.36-2.61
26 Ta 0.8382 0.9492 0.6455  4 S 2.25-2.30
27 Ta 0.9967 0.4509 0.4795  4 S 2.28-2.29
28 S 0.0025 0.2485 0.0413  1 Ta 2.30
29 S 0.0774 0.7162 0.3083  1 Ta 2.37
30 S 0.0791 0.3852 0.3331  1 Ta 2.29
31 S 0.1218 0.9714 0.4688  2 Ta 2.50-2.60
32 S 0.1227 0.5685 0.5997  1 Ta 2.29
33 S 0.1495 0.3362 0.8169  1 Ta 2.27
34 S 0.1642 0.8517 0.0842  1 Ta 2.37
35 S 0.1919 0.8524 0.7582  1 Ta 2.26
36 S 0.1943 0.1034 0.2651  2 Ta 2.61-2.70
37 S 0.2330 0.1071 0.9645  1 Ta 2.26
38 S 0.2478 0.2484 0.5333  1 Ta 2.31
39 S 0.2674 0.6201 0.8973  1 Ta 2.29
40 S 0.2926 0.4004 0.1038  1 Ta 2.31
41 S 0.3296 0.5884 0.3767  1 Ta 2.28
42 S 0.3297 0.8939 0.3403  2 Ta 2.62-2.74
43 S 0.3921 0.0187 0.6126  1 Ta 2.32
44 S 0.4155 0.7030 0.6731  1 Ta 2.29
45 S 0.4572 0.8968 0.9401  1 Ta 2.30
46 S 0.4607 0.3196 0.8279  1 Ta 2.34
47 S 0.4650 0.1620 0.3865  1 Ta 2.47
48 S 0.4741 0.6727 0.1499  1 Ta 2.28
49 S 0.5285 0.1925 0.0766  1 Ta 2.28
50 S 0.5416 0.4555 0.6049  1 Ta 2.35
51 S 0.5562 0.4435 0.2963  1 Ta 2.29
52 S 0.6022 0.5870 0.8794  2 Ta 2.61-2.67
53 S 0.6123 0.9636 0.2237  1 Ta 2.29
54 S 0.6237 0.7338 0.4370  1 Ta 2.29
55 S 0.6654 0.9274 0.6995  1 Ta 2.30
56 S 0.6774 0.2328 0.6866  1 Ta 2.35
57 S 0.7353 0.3776 0.9553  2 Ta 2.60-2.64
58 S 0.7500 0.0429 0.9919  1 Ta 2.28
59 S 0.7654 0.6209 0.1345  1 Ta 2.38
60 S 0.7930 0.2320 0.2682  1 Ta 2.29
61 S 0.8112 0.5085 0.7482  2 Ta 2.60-2.64
62 S 0.8146 0.0078 0.4756  1 Ta 2.30
63 S 0.8468 0.5265 0.4100  1 Ta 2.29
64 S 0.8474 0.7649 0.9105  1 Ta 2.37
65 S 0.8963 0.7787 0.6201  1 Ta 2.30
66 S 0.9289 0.3055 0.5602  1 Ta 2.28
67 S 0.9403 0.9365 0.2201  1 Ta 2.37
68 S 0.9570 0.0654 0.7686  1 Ta 2.25
69 S 0.9911 0.5437 0.9944  1 Ta 2.36

E above lowest polymorph   0 meV per atom
Total energy   -6.20 eV/atom

Here is crystalline Sr17Ta10S42 at its relaxed geometry from the Materials Project database. Energies are from PBE.

Cell: 12.3348 12.3425 12.3796 Å, 96.66 96.32 96.77°
Closest atoms and distances in Å follow each position.
Space group P1 (No. 1)
Asymmetric unit:
1 Sr 0.0000 0.0000 0.0000  7 S 3.04-3.19
2 Sr 0.0015 0.8681 0.6290  7 S 3.02-3.15
3 Sr 0.2097 0.9736 0.3511  7 S 3.00-3.13
4 Sr 0.2304 0.6347 0.1419  7 S 3.04-3.28
5 Sr 0.2388 0.5004 0.7658  7 S 3.03-3.16
6 Sr 0.3300 0.3434 0.3435  7 S 2.96-3.18
7 Sr 0.3440 0.2159 0.9825  8 S 3.01-3.37
8 Sr 0.3673 0.8665 0.7708  7 S 3.03-3.14
9 Sr 0.5426 0.3111 0.6694  7 S 2.99-3.29
10 Sr 0.5702 0.9648 0.4756  7 S 3.01-3.17
11 Sr 0.5802 0.8464 0.1147  7 S 2.99-3.17
12 Sr 0.6690 0.5371 0.3060  7 S 2.99-3.27
13 Sr 0.6801 0.6802 0.6846  7 S 2.97-3.20
14 Sr 0.7068 0.2068 0.1029  7 S 3.00-3.16
15 Sr 0.8680 0.6357 0.0096  7 S 3.04-3.12
16 Sr 0.9040 0.1737 0.4397  7 S 3.01-3.31
17 Sr 0.9119 0.3174 0.8176  8 S 2.97-3.29
18 Ta 0.0143 0.3097 0.1184  4 S 2.26-2.30
19 Ta 0.1776 0.1467 0.6192  4 S 2.28-2.29
20 Ta 0.2958 0.9297 0.0657  3 S 2.35
21 Ta 0.3452 0.6465 0.4475  4 S 2.26-2.31
22 Ta 0.4824 0.1188 0.2545  6 S 2.36-2.63
23 Ta 0.5132 0.4838 0.9457  4 S 2.28-2.29
24 Ta 0.6758 0.9849 0.7815  4 S 2.28-2.29
25 Ta 0.8047 0.4336 0.5566  5 S 2.29-2.56
26 Ta 0.8470 0.8118 0.2813  4 S 2.25-2.30
27 Ta 0.9827 0.6159 0.7504  6 S 2.36-2.64
28 S 0.0029 0.4329 0.6422  2 Ta 2.54-2.56
29 S 0.0080 0.1231 0.6759  1 Ta 2.28
30 S 0.0649 0.5527 0.9136  1 Ta 2.41
31 S 0.0921 0.2403 0.9699  1 Ta 2.29
32 S 0.1326 0.8501 0.1234  1 Ta 2.35
33 S 0.1365 0.4312 0.2349  1 Ta 2.26
34 S 0.1484 0.7066 0.7071  1 Ta 2.36
35 S 0.1540 0.2030 0.4498  1 Ta 2.28
36 S 0.2010 0.7271 0.3807  1 Ta 2.26
37 S 0.2176 0.9893 0.9048  1 Ta 2.35
38 S 0.2340 0.9763 0.5981  1 Ta 2.29
39 S 0.2769 0.1186 0.1815  2 Ta 2.59-2.64
40 S 0.2895 0.4984 0.5309  1 Ta 2.28
41 S 0.3033 0.2681 0.7378  1 Ta 2.29
42 S 0.3423 0.4625 0.0013  1 Ta 2.28
43 S 0.3546 0.7679 0.9874  1 Ta 2.35
44 S 0.4099 0.9117 0.2545  2 Ta 2.61-2.64
45 S 0.4233 0.5784 0.2976  1 Ta 2.30
46 S 0.4441 0.1570 0.4368  1 Ta 2.36
47 S 0.4680 0.7691 0.5707  1 Ta 2.31
48 S 0.4857 0.0455 0.0469  2 Ta 2.63-2.64
49 S 0.4896 0.5428 0.7781  1 Ta 2.28
50 S 0.5206 0.3011 0.2126  1 Ta 2.37
51 S 0.5281 0.0624 0.7130  1 Ta 2.28
52 S 0.5711 0.3141 0.9210  1 Ta 2.29
53 S 0.6073 0.8392 0.8625  1 Ta 2.28
54 S 0.6195 0.4742 0.5236  1 Ta 2.40
55 S 0.6334 0.6034 0.0711  1 Ta 2.29
56 S 0.6652 0.0776 0.2907  1 Ta 2.38
57 S 0.6770 0.7866 0.3407  1 Ta 2.30
58 S 0.7575 0.9190 0.6346  1 Ta 2.29
59 S 0.7577 0.2528 0.6055  1 Ta 2.40
60 S 0.7932 0.5082 0.7811  2 Ta 2.64-2.85
61 S 0.7997 0.1045 0.9035  1 Ta 2.29
62 S 0.8260 0.8680 0.1105  1 Ta 2.30
63 S 0.8307 0.3849 0.3782  1 Ta 2.29
64 S 0.8665 0.3926 0.0561  1 Ta 2.30
65 S 0.8734 0.6372 0.5680  2 Ta 2.54-2.56
66 S 0.9043 0.6453 0.2598  1 Ta 2.25
67 S 0.9196 0.7800 0.8338  1 Ta 2.42
68 S 0.9440 0.1603 0.1951  1 Ta 2.29
69 S 0.9671 0.9377 0.4027  1 Ta 2.30

E above lowest polymorph   6 meV per atom
Total moment   0.00 μB/f.u.
Total energy   -6.20 eV/atom

Here is crystalline SrTb2S4 at its relaxed geometry from the Materials Project database. Energies are from PBE.

Cell: 12.1101 4.0179 14.4461 Å, 90.00 90.00 90.00°
Closest atoms and distances in Å follow each position.
Space group Pnma (No. 62)
Asymmetric unit:
1 Sr 0.2397 0.2500 0.1639  8 S 3.10-3.32
2 Tb 0.0645 0.2500 0.3898  6 S 2.73-2.79
3 Tb 0.0837 0.2500 0.9003  6 S 2.70-2.80
4 S 0.0270 0.7500 0.7843  3 Tb 2.70-2.75
5 S 0.0877 0.2500 0.5780  3 Tb 2.73-2.77
6 S 0.1292 0.7500 0.0294  3 Tb 2.77-2.80, 2 Sr 3.10
7 S 0.2043 0.7500 0.3255  3 Tb 2.79, 2 Sr 3.11

Total energy   -6.05 eV/atom

Number 1: calculated volume 31.12 A^3/atom, formation enthalpy at 0 K -0.6310 eV per atom. Number 2: calculated volume 27.29 A^3/atom, formation enthalpy at 0 K -0.0091 eV per atom. Number 3: calculated volume 29.61 A^3/atom, formation enthalpy at 0 K -0.6205 eV per atom. Number 4: calculated volume 27.29 A^3/atom, formation enthalpy at 0 K -0.6637 eV per atom. Number 5: calculated volume 21.35 A^3/atom, formation enthalpy at 0 K -0.9350 eV per atom. Number 6: calculated volume 25.78 A^3/atom, formation enthalpy at 0 K -1.3933 eV per atom. Number 7: calculated volume 27.87 A^3/atom, formation enthalpy at 0 K -2.3951 eV per atom. Number 8: calculated volume 24.68 A^3/atom, formation enthalpy at 0 K -2.0954 eV per atom. Number 9: calculated volume 26.76 A^3/atom, formation enthalpy at 0 K -1.8576 eV per atom. Number 10: calculated volume 26.73 A^3/atom, formation enthalpy at 0 K -1.8518 eV per atom. Number 11: calculated volume 25.10 A^3/atom, formation enthalpy at 0 K -2.4084 eV per atom.